Below is crystalline SmNi2Ge2 at its relaxed geometry, with properties calculated at the r2SCAN level.

Calculated formation energy (eV/atom): -0.723
SG: No. 139
Size of the total moment (μB per atom): 0.00

a = 4.094 Å, b = 4.094 Å, c = 5.668 Å
α = 111.17°, β = 111.17°, γ = 90.00°
Element x y z (fractional)
Ni  0.750  0.250  0.500
Ge  0.632  0.632  0.264
Sm  0.000  0.000  0.000
Ge  0.368  0.368  0.736
Ni  0.250  0.750  0.500